[1]
Compound: SrCd2Sb2
Source: the Materials Project database
Functional: r²SCAN
Structure: relaxed

The value obtained for the calculated formation energy is -0.635 eV per atom. For the theoretical density, the calculation gives 6.0 Mg/m³.

The structure belongs to space group P-3m1 (No. 164); the cell edges are 4.7528, 4.7528 and 7.8931 Å and the angles 90.00°, 90.00° and 120.00°. The distinct sites, in fractional coordinates, are Sr at (0.0000, 0.0000, 0.0000), Cd at (0.3333, 0.6667, 0.6319) and Sb at (0.3333, 0.6667, 0.2520).

=====

[2]
Compound: KCu3S2
Source: the Materials Project database
Functional: r²SCAN
Structure: relaxed

The value obtained for the calculated formation energy is -0.566 eV per atom. For the theoretical density, the calculation gives 4.6 Mg/m³.

The structure belongs to space group C2/m (No. 12); the cell edges are 14.510, 3.870 and 8.244 Å and the angles 90.00°, 113.10° and 90.00°. The distinct sites, in fractional coordinates, are K at (0.134, 0.000, 0.043), Cu at (0.066, 0.000, 0.411), Cu at (0.094, 0.500, 0.639), Cu at (0.191, 0.500, 0.419), S at (0.023, 0.500, 0.241) and S at (0.193, 0.000, 0.692).

=====

[3]
Compound: Y2MoO6
Source: the Materials Project database
Functional: r²SCAN
Structure: relaxed

The value obtained for the calculated formation energy is -3.238 eV per atom. For the theoretical density, the calculation gives 5.4 Mg/m³.

The structure belongs to space group C2/c (No. 15); the cell edges are 16.371, 11.028 and 5.351 Å and the angles 90.00°, 108.42° and 90.00°. The distinct sites, in fractional coordinates, are Y at (0.000, 0.107, 0.250), Y at (0.000, 0.364, 0.750), Y at (0.168, 0.116, 0.879), Mo at (0.154, 0.359, 0.440), O at (0.072, 0.236, 0.583), O at (0.080, 0.468, 0.486), O at (0.092, 0.019, 0.078), O at (0.106, 0.280, 0.133), O at (0.228, 0.296, 0.742) and O at (0.235, 0.448, 0.364).

=====

[4]
Compound: MnCoGe
Source: the Materials Project database
Functional: r²SCAN
Structure: relaxed

The value obtained for the calculated formation energy is -0.285 eV per atom. For the theoretical density, the calculation gives 8.0 Mg/m³.

The structure belongs to space group Pnma (No. 62); the cell edges are 5.904, 3.824 and 6.901 Å and the angles 90.00°, 90.00° and 90.00°. The distinct sites, in fractional coordinates, are Mn at (0.016, 0.250, 0.193), Co at (0.161, 0.250, 0.558) and Ge at (0.229, 0.750, 0.382).